w:
Crystalline Li6Br3N at its relaxed geometry. Source: Materials Project, functional r²SCAN.

Calculated values
Space group: Ibca

a b c (Å): 13.8501 13.8500 13.8502
angles (deg): 131.51 131.11 71.32
Sites, in units of the cell vectors:
Li1 0.5480 0.8758 0.5396
Li2 0.0766 0.0709 0.2187
N1 0.5000 0.0000 0.0000
Li3 0.9520 0.4916 0.3279
Li4 0.3522 0.8579 0.2812
Li5 0.4221 0.6457 0.5070
Li6 0.6293 0.1599 0.1749
Li7 0.3613 0.0849 0.0070
Li8 0.9234 0.9291 0.7813
Br1 0.2702 0.2500 0.5202
Br2 0.3870 0.1370 0.2500
Br3 0.1359 0.8860 0.2500
Br4 0.7500 0.2204 0.4704
Br5 0.2298 0.7500 0.9798
Li9 0.1623 0.4887 0.0380
Li10 0.5150 0.5456 0.6749
Li11 0.8707 0.0456 0.5306
Li12 0.9850 0.6599 0.0307
Li13 0.4869 0.4418 0.8207
N2 0.5000 0.5000 0.0000
Br6 0.3623 0.1420 0.7591
Br7 0.6377 0.8579 0.2409
Li14 0.9507 0.1242 0.4619
N3 0.5000 0.5000 0.5000
Li15 0.8377 0.5113 0.9620
Li16 0.4234 0.6421 0.9943
N4 0.0000 0.5000 0.5000
Li17 0.6387 0.9151 0.9930
Br8 0.6360 0.3859 0.2500
Br9 0.6130 0.8629 0.7500
Br10 0.2500 0.7796 0.5296
Br11 0.8623 0.1032 0.2202
Li18 0.0493 0.8758 0.5381
Li19 0.5493 0.0113 0.1736
Br12 0.1170 0.3968 0.2590
Br13 0.8871 0.6370 0.2500
Li20 0.1387 0.1457 0.7236
Li21 0.8522 0.5709 0.4944
Li22 0.9221 0.4151 0.7764
Li23 0.9869 0.1662 0.0451
Li24 0.6638 0.6242 0.1722
Br14 0.7298 0.7500 0.4798
Br15 0.8641 0.1140 0.7500
Li25 0.3707 0.8401 0.8251
Li26 0.5131 0.5582 0.1793
Li27 0.6211 0.9418 0.4549
N5 0.0000 0.0000 0.5000
Li28 0.4520 0.1242 0.4604
Li29 0.4850 0.4544 0.3251
Li30 0.5766 0.3579 0.0057
Li31 0.0131 0.8338 0.9549
Li32 0.1293 0.9544 0.4694
Li33 0.4507 0.9887 0.8264
N6 0.5000 0.0000 0.5000
Br16 0.2500 0.2796 0.0296
Li34 0.1211 0.6662 0.6794
Br17 0.8830 0.6032 0.7410
Li35 0.6623 0.6243 0.6736
Li36 0.8613 0.8543 0.2764
Li37 0.3362 0.3758 0.8278
Li38 0.1638 0.9916 0.0396
Li39 0.3377 0.3757 0.3264
Li40 0.1478 0.4291 0.5056
Br18 0.7702 0.2500 0.0202
Li41 0.8362 0.0084 0.9604
Li42 0.0480 0.5084 0.6721
Li43 0.0150 0.3401 0.9693
Li44 0.8789 0.3338 0.3206
Li45 0.5779 0.3543 0.4930
Br19 0.1377 0.8968 0.7798
N7 0.0000 0.5000 0.0000
N8 0.0000 0.0000 0.0000
Br20 0.3830 0.6420 0.2797
Li46 0.3789 0.0582 0.5451
Li47 0.0779 0.5849 0.2236
Li48 0.6478 0.1421 0.7188
Br21 0.7500 0.7205 0.9705
Br22 0.6170 0.3580 0.7203
Br23 0.3640 0.6141 0.7500
Br24 0.1129 0.3630 0.7500

---

x:
Crystalline Li6Br3N at its relaxed geometry. Source: Materials Project, functional r²SCAN.

Calculated values
Space group: P2_1/c

a b c (Å): 6.3138 6.1895 10.8452
angles (deg): 55.56 90.00 90.00
Sites, in units of the cell vectors:
Br1 0.0206 0.2495 0.2425
Li1 0.8311 0.2152 0.0355
Br2 0.4794 0.2495 0.7425
Li2 0.7658 0.9140 0.9215
Li3 0.3311 0.7848 0.4645
Li4 0.7342 0.9140 0.4215
Br3 0.5206 0.7505 0.2575
Li5 0.0706 0.2989 0.8026
Li6 0.4294 0.2989 0.3026
Br4 0.0000 0.5000 0.5000
Li7 0.2658 0.0860 0.5785
N1 0.0000 0.0000 0.0000
Li8 0.5706 0.7011 0.6974
Li9 0.9294 0.7011 0.1974
N2 0.5000 0.0000 0.5000
Br5 0.9794 0.7505 0.7575
Li10 0.6689 0.2152 0.5355
Li11 0.1689 0.7848 0.9645
Br6 0.5000 0.5000 0.0000
Li12 0.2342 0.0860 0.0785

---

Least stable structure: x

---

w:
Crystalline CaMg3C4O12 at its relaxed geometry. Source: Materials Project, functional r²SCAN.

Calculated values
Space group: R-3

a b c (Å): 4.7251 4.7251 10.6547
angles (deg): 90.00 102.81 120.00
Sites, in units of the cell vectors:
O1 0.0182 0.1476 0.6193
O2 0.7487 0.6011 0.6193
C1 0.2538 0.1269 0.3807
O3 0.4918 0.5836 0.8588
Ca1 0.0000 0.0000 0.0000
O4 0.5283 0.1294 0.3807
O5 0.2513 0.3989 0.3807
O6 0.7248 0.0918 0.1412
O7 0.9818 0.8524 0.3807
O8 0.0494 0.6330 0.1412
O9 0.5082 0.4164 0.1412
C2 0.7619 0.3810 0.1429
Mg1 0.5093 0.7547 0.2640
C3 0.7462 0.8731 0.6193
Mg2 0.0000 0.5000 0.5000
Mg3 0.4907 0.2453 0.7360
C4 0.2381 0.6190 0.8571
O10 0.9506 0.3670 0.8588
O11 0.2752 0.9082 0.8588
O12 0.4717 0.8706 0.6193

---

x:
Crystalline CaMg3C4O12 at its relaxed geometry. Source: Materials Project, functional r²SCAN.

a b c (Å): 7.4719 7.4955 7.5632
angles (deg): 78.31 77.68 78.16
Sites, in units of the cell vectors:
O1 0.6213 0.8879 0.2525
O2 0.3926 0.6142 0.2740
O3 0.8923 0.2474 0.6141
Mg1 0.0000 0.5000 0.0000
C1 0.2434 0.7506 0.7378
O4 0.3923 0.7474 0.6141
O5 0.3787 0.1121 0.7475
O6 0.3811 0.2286 0.1156
O7 0.1213 0.3879 0.2525
O8 0.8926 0.1142 0.2740
C2 0.7512 0.7580 0.7448
O9 0.6189 0.7714 0.8844
C3 0.2512 0.2580 0.7448
O10 0.1074 0.8858 0.7260
O11 0.2466 0.1111 0.3955
Ca1 0.5000 0.5000 0.0000
Mg2 0.5000 0.0000 0.0000
O12 0.7690 0.3799 0.1224
O13 0.8787 0.6121 0.7475
C4 0.7488 0.7420 0.2552
C5 0.7566 0.2494 0.2622
O14 0.7466 0.6111 0.3955
C6 0.2488 0.2420 0.2552
Mg3 0.0000 0.0000 0.5000
O15 0.6074 0.3858 0.7260
Mg4 0.5000 0.0000 0.5000
O16 0.1189 0.2714 0.8844
O17 0.2310 0.6201 0.8776
O18 0.7310 0.1201 0.8776
C7 0.2566 0.7494 0.2622
O19 0.2690 0.8799 0.1224
O20 0.1077 0.7526 0.3859
O21 0.2534 0.3889 0.6045
Mg5 0.0000 0.5000 0.5000
Mg6 0.5000 0.5000 0.5000
C8 0.7434 0.2506 0.7378
O22 0.6077 0.2526 0.3859
O23 0.8811 0.7286 0.1156
O24 0.7534 0.8889 0.6045
Ca2 0.0000 0.0000 0.0000

---

Least stable structure: x

---

w:
Crystalline Na6Mg2C4SO16 at its relaxed geometry. Source: Materials Project, functional r²SCAN.

Calculated values
Space group: Fd-3m

a b c (Å): 9.8956 9.8956 9.8956
angles (deg): 60.00 60.00 60.00
Sites, in units of the cell vectors:
O1 0.2699 0.4946 0.2699
Na1 0.9749 0.5251 0.9749
C1 0.2825 0.9058 0.9058
Mg1 0.1250 0.6250 0.1250
O2 0.9656 0.4946 0.2699
O3 0.9801 0.9801 0.7554
O4 0.5613 0.5613 0.5613
S1 0.5000 0.5000 0.5000
O5 0.4946 0.2699 0.2699
C2 0.9058 0.9058 0.2825
O6 0.9656 0.2699 0.2699
Na2 0.7249 0.2751 0.2751
O7 0.9801 0.2844 0.7554
C3 0.3442 0.3442 0.3442
O8 0.2844 0.9801 0.9801
O9 0.4946 0.2699 0.9656
O10 0.9801 0.2844 0.9801
C4 0.9058 0.2825 0.9058
C5 0.3442 0.3442 0.9675
Na3 0.9749 0.9749 0.5251
C6 0.9675 0.3442 0.3442
C7 0.9058 0.9058 0.9058
O11 0.2699 0.2699 0.9656
O12 0.9340 0.6887 0.6887
O13 0.2699 0.9656 0.2699
O14 0.9801 0.7554 0.2844
O15 0.6887 0.6887 0.9340
Mg2 0.1250 0.1250 0.6250
O16 0.2844 0.7554 0.9801
O17 0.2699 0.2699 0.4946
O18 0.3160 0.5613 0.5613
Na4 0.2751 0.2751 0.7249
O19 0.7554 0.9801 0.2844
O20 0.7554 0.2844 0.9801
Mg3 0.1250 0.1250 0.1250
Na5 0.5251 0.9749 0.5251
Na6 0.5251 0.9749 0.9749
O21 0.9656 0.2699 0.4946
O22 0.2699 0.9656 0.4946
O23 0.9801 0.9801 0.2844
Mg4 0.6250 0.1250 0.1250
Na7 0.2751 0.7249 0.2751
O24 0.9801 0.7554 0.9801
Na8 0.5251 0.5251 0.9749
O25 0.2699 0.4946 0.9656
Na9 0.9749 0.5251 0.5251
O26 0.5613 0.3160 0.5613
O27 0.4946 0.9656 0.2699
S2 0.7500 0.7500 0.7500
Na10 0.7249 0.7249 0.2751
Na11 0.2751 0.7249 0.7249
O28 0.6887 0.9340 0.6887
O29 0.7554 0.9801 0.9801
O30 0.5613 0.5613 0.3160
Na12 0.7249 0.2751 0.7249
C8 0.3442 0.9675 0.3442
O31 0.6887 0.6887 0.6887
O32 0.2844 0.9801 0.7554

---

x:
Crystalline Na6Mg2C4SO16 at its relaxed geometry. Source: Materials Project, functional r²SCAN.

Calculated values
Space group: Fd-3

a b c (Å): 9.7671 9.7671 9.7671
angles (deg): 60.00 60.00 60.00
Sites, in units of the cell vectors:
Na1 0.9670 0.9670 0.5330
Na2 0.9670 0.5330 0.9670
O1 0.9684 0.2278 0.3162
O2 0.9684 0.4876 0.2278
O3 0.4876 0.9684 0.3162
O4 0.5620 0.3141 0.5620
O5 0.4876 0.3162 0.2278
Mg1 0.1250 0.6250 0.1250
O6 0.4876 0.2278 0.9684
O7 0.9338 0.2816 0.0222
Na3 0.7170 0.7170 0.2830
Na4 0.7170 0.2830 0.7170
Na5 0.7170 0.2830 0.2830
Na6 0.2830 0.2830 0.7170
C1 0.2801 0.9066 0.9066
Mg2 0.1250 0.1250 0.1250
Na7 0.2830 0.7170 0.7170
O8 0.6880 0.6880 0.6880
O9 0.2816 0.9338 0.7624
O10 0.5620 0.5620 0.5620
C2 0.3434 0.3434 0.3434
C3 0.9699 0.3434 0.3434
C4 0.9066 0.9066 0.9066
O11 0.0222 0.7624 0.9338
C5 0.3434 0.3434 0.9699
C6 0.9066 0.2801 0.9066
Na8 0.5330 0.5330 0.9670
Na9 0.5330 0.9670 0.9670
O12 0.6880 0.9359 0.6880
O13 0.3141 0.5620 0.5620
C7 0.9066 0.9066 0.2801
S1 0.5000 0.5000 0.5000
Mg3 0.6250 0.1250 0.1250
O14 0.7624 0.9338 0.0222
O15 0.0222 0.9338 0.2816
Na10 0.9670 0.5330 0.5330
O16 0.3162 0.4876 0.9684
O17 0.2816 0.7624 0.0222
O18 0.9338 0.7624 0.2816
O19 0.3162 0.9684 0.2278
O20 0.2278 0.4876 0.3162
C8 0.3434 0.9699 0.3434
O21 0.7624 0.0222 0.2816
O22 0.6880 0.6880 0.9359
O23 0.9359 0.6880 0.6880
O24 0.3162 0.2278 0.4876
O25 0.2278 0.9684 0.4876
O26 0.5620 0.5620 0.3141
Mg4 0.1250 0.1250 0.6250
O27 0.0222 0.2816 0.7624
O28 0.9684 0.3162 0.4876
Na11 0.2830 0.7170 0.2830
O29 0.9338 0.0222 0.7624
S2 0.7500 0.7500 0.7500
O30 0.2816 0.0222 0.9338
Na12 0.5330 0.9670 0.5330
O31 0.7624 0.2816 0.9338
O32 0.2278 0.3162 0.9684

---

Least stable structure: w

---

w:
Crystalline CaH8Cl2O4 at its relaxed geometry. Source: Materials Project, functional r²SCAN.

Calculated values
Space group: P2_1/c

a b c (Å): 7.5350 6.0975 8.8340
angles (deg): 69.60 90.00 90.00
Sites, in units of the cell vectors:
O1 0.5032 0.0043 0.7634
H1 0.7846 0.4114 0.8081
H2 0.2664 0.5923 0.5171
Ca1 0.0000 0.0000 0.0000
Cl1 0.2171 0.3071 0.4264
H3 0.2846 0.5886 0.6919
O2 0.2974 0.6910 0.5796
H4 0.7336 0.4077 0.4829
H5 0.7154 0.4114 0.3081
H6 0.4390 0.1101 0.8054
O3 0.2026 0.6910 0.0796
O4 0.4968 0.9957 0.2366
Cl2 0.7829 0.6929 0.5736
Cl3 0.7171 0.6929 0.0736
O5 0.9968 0.0043 0.2634
Ca2 0.5000 0.0000 0.5000
H7 0.9314 0.8996 0.3559
H8 0.2154 0.5886 0.1919
H9 0.0686 0.1004 0.6441
O6 0.0032 0.9957 0.7366
H10 0.9390 0.8899 0.6946
O7 0.7974 0.3090 0.9204
H11 0.5686 0.8996 0.8559
O8 0.7026 0.3090 0.4204
H12 0.2336 0.5923 0.0171
H13 0.4314 0.1004 0.1441
H14 0.5610 0.8899 0.1946
H15 0.0610 0.1101 0.3054
Cl4 0.2829 0.3071 0.9264
H16 0.7664 0.4077 0.9829

---

x:
Crystalline CaH8Cl2O4 at its relaxed geometry. Source: Materials Project, functional r²SCAN.

Calculated values
Space group: P-1

a b c (Å): 6.2689 6.5561 8.2729
angles (deg): 93.53 96.22 110.56
Sites, in units of the cell vectors:
H1 0.2482 0.7987 0.4679
H2 0.2414 0.6124 0.5802
H3 0.5426 0.9222 0.6707
O1 0.8142 0.8160 0.0295
H4 0.3493 0.2080 0.0020
H5 0.1891 0.3235 0.9332
O2 0.7371 0.2321 0.4178
O3 0.2629 0.7679 0.5822
O4 0.6997 0.0214 0.7175
H6 0.5923 0.4530 0.6749
H7 0.7518 0.2013 0.5321
H8 0.2484 0.5529 0.1697
O5 0.3003 0.9786 0.2825
Cl1 0.2826 0.7077 0.9518
Ca1 0.9956 0.1190 0.2555
H9 0.6507 0.7920 0.9980
H10 0.3151 0.9018 0.1815
H11 0.7587 0.3876 0.4198
Cl2 0.7174 0.2923 0.0482
O6 0.7517 0.5161 0.7289
H12 0.4574 0.0778 0.3293
Ca2 0.0044 0.8810 0.7445
H13 0.6849 0.0982 0.8185
Cl3 0.2355 0.2600 0.5919
H14 0.7516 0.4471 0.8303
H15 0.8109 0.6765 0.0668
O7 0.2483 0.4839 0.2711
O8 0.1858 0.1840 0.9705
H16 0.4077 0.5470 0.3251
Cl4 0.7645 0.7400 0.4081

---

Least stable structure: w